Entry 1:
Rb2Mo3P3O17 | the Materials Project database | PBE with a Hubbard U | optimized geometry; final energy = -6.93 eV per atom; E_form = -2.385 eV per atom; crystal system = monoclinic; magnetization = 3.88 Bohr magnetons per cell
1.0
9.6775 0.0000 0.0000
0.0000 11.0265 0.0000
0.0000 5.8459 14.8364
Rb Mo P O
8 12 12 68
Direct
0.3783 0.8189 0.5088
0.6217 0.1811 0.4912
0.8783 0.1811 0.9912
0.1217 0.8189 0.0088
0.8728 0.4033 0.2080
0.1272 0.5967 0.7920
0.3728 0.5967 0.2920
0.6272 0.4033 0.7080
0.1170 0.9535 0.2439
0.8830 0.0465 0.7561
0.6170 0.0465 0.2561
0.3830 0.9535 0.7439
0.6186 0.7529 0.0633
0.3814 0.2471 0.9367
0.1186 0.2471 0.4367
0.8814 0.7529 0.5633
0.7542 0.5786 0.4045
0.2458 0.4214 0.5955
0.2542 0.4214 0.0955
0.7458 0.5786 0.9045
0.8227 0.8377 0.2026
0.1773 0.1623 0.7974
0.3227 0.1623 0.2974
0.6773 0.8377 0.7026
0.5957 0.3312 0.0692
0.4043 0.6688 0.9308
0.0957 0.6688 0.4308
0.9043 0.3312 0.5692
0.3992 0.9571 0.1213
0.6008 0.0429 0.8787
0.8992 0.0429 0.3787
0.1008 0.9571 0.6213
0.9717 0.9564 0.3350
0.0283 0.0436 0.6650
0.4717 0.0436 0.1650
0.5283 0.9564 0.8350
0.4397 0.7317 0.0018
0.5603 0.2683 0.9982
0.9397 0.2683 0.4982
0.0603 0.7317 0.5018
0.7615 0.7320 0.2874
0.2385 0.2680 0.7126
0.2615 0.2680 0.2126
0.7385 0.7320 0.7874
0.5824 0.6012 0.4270
0.4176 0.3988 0.5730
0.0824 0.3988 0.0730
0.9176 0.6012 0.9270
0.7446 0.4626 0.3540
0.2554 0.5374 0.6460
0.2446 0.5374 0.1460
0.7554 0.4626 0.8540
0.7870 0.8070 0.1173
0.2130 0.1930 0.8827
0.2870 0.1930 0.3827
0.7130 0.8070 0.6173
0.6706 0.2312 0.1496
0.3294 0.7688 0.8504
0.1706 0.7688 0.3504
0.8294 0.2312 0.6496
0.9824 0.8395 0.2026
0.0176 0.1605 0.7974
0.4824 0.1605 0.2974
0.5176 0.8395 0.7026
0.6099 0.6041 0.1525
0.3901 0.3959 0.8475
0.1099 0.3959 0.3475
0.8901 0.6041 0.6525
0.7075 0.4400 0.0270
0.2925 0.5600 0.9730
0.2075 0.5600 0.4730
0.7925 0.4400 0.5270
0.8605 0.9614 0.4759
0.1395 0.0386 0.5241
0.3605 0.0386 0.0241
0.6395 0.9614 0.9759
0.4902 0.8367 0.1300
0.5098 0.1633 0.8700
0.9902 0.1633 0.3700
0.0098 0.8367 0.6300
0.7872 0.7133 0.4815
0.2128 0.2867 0.5185
0.2872 0.2867 0.0185
0.7128 0.7133 0.9815
0.7624 0.9717 0.1926
0.2376 0.0283 0.8074
0.2624 0.0283 0.3074
0.7376 0.9717 0.6926
0.2662 0.8942 0.1757
0.7338 0.1058 0.8243
0.7662 0.1058 0.3243
0.2338 0.8942 0.6757
0.5690 0.9050 0.3418
0.4310 0.0950 0.6582
0.0690 0.0950 0.1582
0.9310 0.9050 0.8418
0.9691 0.6086 0.4032
0.0309 0.3914 0.5968
0.4691 0.3914 0.0968
0.5309 0.6086 0.9032

Entry 2:
Rb2MoP2O9 | the Materials Project database | PBE with a Hubbard U | optimized geometry; final energy = -6.70 eV per atom; E_form = -2.502 eV per atom; crystal system = monoclinic; magnetization = 0.00 Bohr magnetons per cell
1.0
-0.0748 -4.8043 -6.8570
2.3830 -8.0030 0.6152
-14.5651 -6.3901 2.0554
Rb Mo P O
8 4 8 36
Direct
0.4914 0.7891 0.2667
0.5086 0.2109 0.7333
0.2109 0.5086 0.2333
0.7891 0.4914 0.7667
0.5521 0.7362 0.5219
0.4479 0.2638 0.4781
0.2638 0.4479 0.9781
0.7362 0.5521 0.0219
0.7622 0.0132 0.1382
0.2378 0.9868 0.8618
0.9868 0.2378 0.3618
0.0132 0.7622 0.6382
0.2333 0.8504 0.0722
0.7667 0.1496 0.9278
0.1496 0.7667 0.4278
0.8504 0.2333 0.5722
0.8031 0.9505 0.3428
0.1969 0.0495 0.6572
0.0495 0.1969 0.1572
0.9505 0.8031 0.8428
0.3802 0.6899 0.1195
0.6198 0.3101 0.8805
0.3101 0.6198 0.3805
0.6899 0.3802 0.6195
0.2122 0.0383 0.1015
0.7878 0.9617 0.8985
0.9617 0.7878 0.3985
0.0383 0.2122 0.6015
0.6288 0.9436 0.3733
0.3712 0.0564 0.6267
0.0564 0.3712 0.1267
0.9436 0.6288 0.8733
0.5508 0.1602 0.1862
0.4492 0.8398 0.8138
0.8398 0.4492 0.3138
0.1602 0.5508 0.6862
0.7320 0.8299 0.1184
0.2680 0.1701 0.8816
0.1701 0.2680 0.3816
0.8299 0.7320 0.6184
0.6995 0.1484 0.0232
0.3005 0.8516 0.9768
0.8516 0.3005 0.4768
0.1484 0.6995 0.5232
0.7988 0.1313 0.3543
0.2012 0.8687 0.6457
0.8687 0.2012 0.1457
0.1313 0.7988 0.8543
0.8571 0.0456 0.5836
0.1429 0.9544 0.4164
0.9544 0.1429 0.9164
0.0456 0.8571 0.0836
0.8764 0.8923 0.2503
0.1236 0.1077 0.7497
0.1077 0.1236 0.2497
0.8923 0.8764 0.7503

Entry 3:
RbMo2P3O12 | the Materials Project database | PBE with a Hubbard U | optimized geometry; final energy = -7.15 eV per atom; E_form = -2.504 eV per atom; crystal system = orthorhombic; magnetization = 16.00 Bohr magnetons per cell
1.0
-0.7974 0.3758 8.9781
8.8554 -3.2011 0.9205
4.2610 11.7547 -0.1136
Rb Mo P O
4 8 12 48
Direct
0.1841 0.8376 0.7500
0.1841 0.6624 0.2500
0.8159 0.3376 0.7500
0.8159 0.1624 0.2500
0.2471 0.0302 0.3999
0.2471 0.4698 0.6001
0.7529 0.5302 0.1001
0.7529 0.9698 0.8999
0.7529 0.9698 0.6001
0.7529 0.5302 0.3999
0.2471 0.4698 0.8999
0.2471 0.0302 0.1001
0.4089 0.3603 0.3698
0.4089 0.1397 0.6302
0.5911 0.8603 0.1302
0.5911 0.6397 0.8698
0.5911 0.6397 0.6302
0.5911 0.8603 0.3698
0.4089 0.1397 0.8698
0.4089 0.3603 0.1302
0.9734 0.2500 0.5000
0.0266 0.7500 0.0000
0.0266 0.7500 0.5000
0.9734 0.2500 0.0000
0.6401 0.5910 0.7500
0.6401 0.9090 0.2500
0.3599 0.0910 0.7500
0.3599 0.4090 0.2500
0.0666 0.1637 0.4196
0.0666 0.3363 0.5804
0.9334 0.6637 0.0804
0.9334 0.8363 0.9196
0.9334 0.8363 0.5804
0.9334 0.6637 0.4196
0.0666 0.3363 0.9196
0.0666 0.1637 0.0804
0.4280 0.8937 0.3842
0.4280 0.6063 0.6158
0.5720 0.3937 0.1158
0.5720 0.1063 0.8842
0.5720 0.1063 0.6158
0.6116 0.7989 0.6223
0.5720 0.3937 0.3842
0.4280 0.8937 0.1158
0.3884 0.2011 0.3777
0.3884 0.2989 0.6223
0.6116 0.7011 0.1223
0.6116 0.7989 0.8777
0.2124 0.0181 0.2500
0.2124 0.4819 0.7500
0.7876 0.5181 0.2500
0.7876 0.9819 0.7500
0.1246 0.8487 0.0684
0.1246 0.6513 0.9316
0.8754 0.3487 0.4316
0.8754 0.1513 0.5684
0.8754 0.1513 0.9316
0.8754 0.3487 0.0684
0.1246 0.6513 0.5684
0.1246 0.8487 0.4316
0.3014 0.0507 0.9373
0.3014 0.4493 0.0627
0.6986 0.5507 0.5627
0.6986 0.9493 0.4373
0.6986 0.9493 0.0627
0.6986 0.5507 0.9373
0.3014 0.4493 0.4373
0.3014 0.0507 0.5627
0.3884 0.2011 0.1223
0.3884 0.2989 0.8777
0.6116 0.7011 0.3777
0.4280 0.6063 0.8842

Question: Look up the magnetization of the first one.
Answer: 3.88 Bohr magnetons per cell